Run i
VASP calculation (r²SCAN) on a relaxed structure of BN.

SG   P6_3/mmc

The structure in extended XYZ format:
```
4
Lattice="2.502 0.000 0.000 -1.251 2.167 0.000 0.000 0.000 6.855" Properties=species:S:1:pos:R:3 pbc="T T T"
B 0.000 0.000 0.171
B 0.000 0.000 3.599
N 1.251 0.722 3.599
N 0.000 1.444 0.171
```

---

Run ii
VASP calculation (r²SCAN) on a relaxed structure of BN.

SG   P6_3/mmc

The structure in extended XYZ format:
```
4
Lattice="2.502 0.000 0.000 -1.251 2.166 0.000 0.000 0.000 7.369" Properties=species:S:1:pos:R:3 pbc="T T T"
B 1.251 0.722 5.527
B 0.000 1.444 1.842
N 0.000 0.000 5.527
N 0.000 0.000 1.842
```

---

What should be chosen as the most stable of them? Choose run i.

---

Run i
VASP calculation (r²SCAN) on a relaxed structure of BW.

SG   Cmcm

The structure in extended XYZ format:
```
4
Lattice="0.000 0.000 3.095 3.162 0.000 0.000 -1.581 4.241 0.000" Properties=species:S:1:pos:R:3 pbc="T T T"
B 0.000 3.724 0.774
B 1.581 0.518 2.321
W 0.000 1.227 0.774
W 1.581 3.014 2.321
```

---

Run ii
VASP calculation (r²SCAN) on a relaxed structure of BW.

SG   I4_1/amd

The structure in extended XYZ format:
```
8
Lattice="3.081 0.000 -0.557 -0.101 3.079 -0.557 -0.008 -0.008 8.745" Properties=species:S:1:pos:R:3 pbc="T T T"
B 2.404 0.096 0.093
B 1.604 0.861 4.465
B 0.568 2.975 7.538
B 1.368 2.209 3.165
W 2.838 0.544 2.497
W 2.038 1.311 6.870
W 0.134 2.526 5.133
W 0.934 1.760 0.761
```

---

What should be chosen as the most stable of them? Choose run ii.

---

Run i
VASP calculation (r²SCAN) on a relaxed structure of Ba3Ca.

SG   Pm-3m

The structure in extended XYZ format:
```
4
Lattice="-2.040 5.881 -0.611 -2.544 -1.456 -5.525 -5.338 -1.554 2.867" Properties=species:S:1:pos:R:3 pbc="T T T"
Ba -3.941 -1.505 -1.329
Ba -3.689 2.164 1.128
Ba -2.292 2.212 -3.068
Ca 0.000 0.000 0.000
```

---

Run ii
VASP calculation (r²SCAN) on a relaxed structure of Ba3Ca.

SG   P6_3/mmc

The structure in extended XYZ format:
```
8
Lattice="-6.900 5.621 -0.289 2.800 -3.998 -7.447 -4.431 -5.377 1.220" Properties=species:S:1:pos:R:3 pbc="T T T"
Ba -1.330 -1.750 -2.290
Ba -3.328 -0.959 -6.059
Ba 0.035 -3.698 -5.919
Ba -7.201 -2.003 -4.226
Ba -5.203 -2.794 -0.456
Ba -8.565 -0.055 -0.597
Ca -3.756 -4.824 -4.146
Ca -4.774 1.071 -2.370
```

---

Run iii
VASP calculation (r²SCAN) on a relaxed structure of Ba3Ca.

SG   I4/mmm

The structure in extended XYZ format:
```
4
Lattice="-6.480 -1.727 3.860 -3.792 6.382 2.184 2.916 -2.365 -6.766" Properties=species:S:1:pos:R:3 pbc="T T T"
Ba -4.350 -0.882 0.058
Ba -3.006 3.172 -0.780
Ba -5.136 2.327 3.022
Ca 0.000 0.000 0.000
```

---

What should be chosen as the most stable of them? Choose run ii.

---

Run i
VASP calculation (r²SCAN) on a relaxed structure of BaSr2I6.

SG   Pbcn

The structure in extended XYZ format:
```
36
Lattice="7.587 0.000 0.000 0.000 8.498 0.000 0.000 0.000 28.138" Properties=species:S:1:pos:R:3 pbc="T T T"
Ba 0.000 2.125 10.732
Ba 0.000 6.374 17.407
Ba 3.794 2.125 24.801
Ba 3.794 6.374 3.338
Sr 0.000 2.125 1.352
Sr 0.000 6.374 8.017
Sr 0.000 2.125 20.121
Sr 0.000 6.374 26.786
Sr 3.794 2.125 6.052
Sr 3.794 2.125 15.421
Sr 3.794 6.374 22.086
Sr 3.794 6.374 12.717
I 1.802 4.849 0.966
I 1.802 0.600 27.172
I 1.894 4.811 5.805
I 1.894 0.562 22.334
I 1.844 5.022 10.425
I 1.844 0.773 17.713
I 1.949 5.022 24.494
I 1.949 0.773 3.644
I 1.900 0.562 8.264
I 1.900 4.811 19.874
I 1.991 0.600 13.103
I 1.991 4.849 15.036
I 5.596 3.649 13.103
I 5.596 7.898 15.036
I 5.687 3.687 8.264
I 5.687 7.936 19.874
I 5.638 3.476 3.644
I 5.638 7.725 24.494
I 5.743 7.725 10.425
I 5.743 3.476 17.713
I 5.693 3.687 22.334
I 5.693 7.936 5.805
I 5.785 7.898 0.966
I 5.785 3.649 27.172
```

---

Run ii
VASP calculation (r²SCAN) on a relaxed structure of BaSr2I6.

SG   C2/c

The structure in extended XYZ format:
```
18
Lattice="6.386 -7.803 0.779 10.016 -0.543 -1.284 5.844 0.062 10.501" Properties=species:S:1:pos:R:3 pbc="T T T"
Ba 8.023 -7.435 3.304
Ba 14.223 -0.849 6.691
Sr 9.307 -3.330 6.548
Sr 15.458 -5.729 8.926
Sr 6.788 -2.555 1.069
Sr 12.939 -4.954 3.447
I 14.648 -7.724 3.115
I 10.735 -6.248 5.629
I 14.762 -4.265 6.069
I 18.535 -5.763 7.817
I 9.676 -2.553 -0.680
I 11.452 -1.896 8.582
I 10.794 -6.388 1.413
I 12.570 -5.731 10.675
I 3.711 -2.521 2.178
I 7.485 -4.019 3.926
I 11.512 -2.036 4.366
I 7.598 -0.560 6.880
```

---

What should be chosen as the most stable of them? Choose run ii.

---

Run i
VASP calculation (r²SCAN) on a relaxed structure of BaSr2I6.

SG   P4_2/mnm

The structure in extended XYZ format:
```
18
Lattice="7.847 0.000 0.000 0.000 7.847 0.000 0.000 0.000 15.225" Properties=species:S:1:pos:R:3 pbc="T T T"
Ba 0.000 0.000 0.000
Ba 3.924 3.924 7.612
Sr 0.000 0.000 5.064
Sr 0.000 0.000 10.161
Sr 3.924 3.924 2.548
Sr 3.924 3.924 12.677
I 1.583 6.265 2.642
I 1.583 6.265 12.583
I 1.484 6.364 7.612
I 2.440 2.440 0.000
I 2.341 2.341 4.970
I 2.341 2.341 10.255
I 5.506 5.506 4.970
I 5.506 5.506 10.255
I 5.407 5.407 0.000
I 6.364 1.484 7.612
I 6.265 1.583 2.642
I 6.265 1.583 12.583
```

---

Run ii
VASP calculation (r²SCAN) on a relaxed structure of BaSr2I6.

SG   C2/m

The structure in extended XYZ format:
```
9
Lattice="4.188 -7.242 0.003 4.196 7.246 0.003 0.005 0.000 7.484" Properties=species:S:1:pos:R:3 pbc="T T T"
Ba 0.005 0.001 7.484
Sr 4.197 2.418 3.746
Sr 4.193 -2.415 3.745
I 6.917 -2.523 5.589
I 1.473 2.529 1.900
I 2.933 0.001 5.588
I 5.456 0.002 1.899
I 1.469 -2.529 1.901
I 6.921 2.536 5.592
```

---

What should be chosen as the most stable of them? Choose run ii.

---

Run i
VASP calculation (r²SCAN) on a relaxed structure of BaLa2O4.

SG   Pnma

The structure in extended XYZ format:
```
28
Lattice="-2.135 1.192 -2.778 -8.567 -4.533 4.639 -2.248 10.733 6.336" Properties=species:S:1:pos:R:3 pbc="T T T"
Ba -4.538 3.555 1.316
Ba -4.594 8.325 5.873
Ba -8.356 -0.933 2.324
Ba -8.412 3.837 6.881
La -3.623 7.147 2.155
La -2.556 1.722 -0.994
La -5.489 4.970 5.120
La -4.433 -0.404 2.001
La -8.517 7.796 6.196
La -7.461 2.422 3.077
La -10.394 5.671 9.191
La -9.327 0.245 6.042
O -2.257 7.936 3.909
O -4.268 10.491 4.087
O -2.692 4.915 2.947
O -2.756 1.231 1.414
O -5.582 6.858 3.537
O -7.022 9.746 5.884
O -5.178 2.887 3.987
O -6.262 1.016 1.552
O -6.688 6.376 6.646
O -7.772 4.505 4.210
O -5.928 -2.354 2.313
O -7.368 0.534 4.660
O -10.195 6.161 6.783
O -10.258 2.477 5.250
O -8.682 -3.099 4.111
O -10.694 -0.544 4.289
```

---

Run ii
VASP calculation (r²SCAN) on a relaxed structure of BaLa2O4.

SG   I4_1/amd

The structure in extended XYZ format:
```
14
Lattice="-5.626 -4.725 0.982 -1.313 2.950 6.671 -6.770 2.588 1.640" Properties=species:S:1:pos:R:3 pbc="T T T"
Ba -7.351 0.538 2.432
Ba -6.358 0.276 6.861
La -3.385 1.294 0.820
La -0.657 1.475 3.336
La -3.469 -0.887 3.827
La -4.042 2.769 4.156
O -1.907 -0.203 2.069
O -8.008 -1.814 3.346
O -4.790 0.886 2.780
O -11.236 -0.244 4.368
O -2.472 1.058 4.926
O -8.919 -0.072 6.513
O -5.701 2.628 5.948
O -11.802 1.017 7.225
```

---

What should be chosen as the most stable of them? Choose run i.

---

Run i
VASP calculation (r²SCAN) on a relaxed structure of BaW6O18.

SG   C2/m

The structure in extended XYZ format:
```
50
Lattice="3.822 10.038 0.000 -3.822 10.038 0.000 0.000 0.002 8.858" Properties=species:S:1:pos:R:3 pbc="T T T"
Ba 0.000 17.534 0.763
Ba 0.000 2.545 8.096
W -1.910 14.432 1.831
W -1.887 10.682 1.818
W 1.910 14.432 1.831
W 1.887 10.682 1.818
W -1.899 7.539 3.849
W 1.899 7.539 3.849
W 1.899 12.540 5.010
W -1.899 12.540 5.010
W -1.887 9.397 7.042
W 1.910 5.647 7.028
W -1.910 5.647 7.028
W 1.887 9.397 7.042
O -1.852 12.554 1.293
O 1.852 12.554 1.293
O 0.000 4.271 1.738
O 0.000 14.543 1.805
O 0.000 10.666 1.919
O 0.000 0.674 1.602
O -1.982 8.885 2.456
O 1.982 8.885 2.456
O 1.828 6.189 2.456
O -1.828 6.189 2.456
O -2.019 11.262 3.621
O 0.000 17.474 3.719
O 0.000 7.634 3.864
O -1.891 13.842 3.629
O 1.891 13.842 3.629
O 2.019 11.262 3.621
O 0.000 12.445 4.995
O 0.000 2.605 5.140
O 2.019 8.817 5.238
O 1.891 6.237 5.230
O -2.019 8.817 5.238
O -1.891 6.237 5.230
O -1.828 13.890 6.403
O -1.982 11.194 6.403
O 1.828 13.890 6.403
O 1.982 11.194 6.403
O 0.000 5.536 7.054
O 0.000 19.405 7.257
O 0.000 9.413 6.940
O 0.000 15.808 7.121
O -1.852 7.525 7.566
O 1.852 7.525 7.566
O 1.911 5.019 0.000
O 1.817 10.038 0.000
O -1.911 5.019 0.000
O -1.817 10.038 0.000
```

---

Run ii
VASP calculation (r²SCAN) on a relaxed structure of BaW6O18.

SG   P31m

The structure in extended XYZ format:
```
25
Lattice="-5.952 -0.440 -4.388 0.400 -4.145 6.126 -3.348 5.565 3.984" Properties=species:S:1:pos:R:3 pbc="T T T"
Ba -1.906 3.167 2.267
W -2.314 2.085 6.091
W -0.643 -0.626 3.977
W -5.261 1.915 3.853
W -3.687 -0.963 1.888
W -3.734 1.177 -1.139
W -5.526 3.959 0.775
O -3.146 3.497 7.026
O -1.479 0.727 5.041
O -1.774 -1.940 4.904
O -3.429 0.779 6.901
O -3.573 2.326 4.619
O -1.956 -0.441 2.658
O -3.964 -2.128 3.326
O -5.645 0.619 5.261
O -6.136 3.254 4.854
O -4.470 0.482 2.870
O -3.280 0.331 0.466
O -4.904 3.103 2.415
O -4.636 2.569 -0.185
O -6.970 1.392 3.068
O -5.328 -1.332 1.068
O -6.304 5.340 1.798
O -5.437 0.198 -1.161
O -7.124 2.935 0.783
```

---

What should be chosen as the most stable of them? Choose run i.

---

Run i
VASP calculation (r²SCAN) on a relaxed structure of BaSr3.

SG   I4/mmm

The structure in extended XYZ format:
```
4
Lattice="-1.920 1.748 7.102 -0.245 7.526 0.698 -3.161 -4.669 -5.039" Properties=species:S:1:pos:R:3 pbc="T T T"
Ba 0.000 0.000 0.000
Sr -3.081 0.858 2.982
Sr -2.244 3.747 -0.221
Sr -1.082 4.637 3.900
```

---

Run ii
VASP calculation (r²SCAN) on a relaxed structure of BaSr3.

SG   Fm-3m

The structure in extended XYZ format:
```
4
Lattice="1.179 2.887 6.149 -3.096 -2.497 5.631 3.684 -3.382 4.746" Properties=species:S:1:pos:R:3 pbc="T T T"
Ba 0.000 0.000 0.000
Sr 0.442 -0.748 4.132
Sr 1.326 -2.244 12.395
Sr 0.884 -1.496 8.263
```

---

What should be chosen as the most stable of them? Choose run ii.

---

Run i
VASP calculation (r²SCAN) on a relaxed structure of Be.

SG   Im-3m

The structure in extended XYZ format:
```
1
Lattice="0.078 0.936 -1.957 -1.339 -1.707 -0.068 -0.727 1.433 1.459" Properties=species:S:1:pos:R:3 pbc="T T T"
Be 0.000 0.000 0.000
```

---

Run ii
VASP calculation (r²SCAN) on a relaxed structure of Be.

The structure in extended XYZ format:
```
4
Lattice="3.574 0.000 0.000 0.000 3.920 0.000 0.000 0.000 2.269" Properties=species:S:1:pos:R:3 pbc="T T T"
Be 2.681 1.306 0.567
Be 0.893 2.614 0.567
Be 0.894 0.654 1.703
Be 2.681 3.266 1.703
```

---

What should be chosen as the most stable of them? Choose run ii.